Here is a geometry-optimized Na14La6Ta2Si9S3O48 structure from Materials Project. Energies are from PBE-GGA.

```
data_Na14La6Ta2Si9S3O48
_chemical_formula_sum 'Na42 La18 Ta6 Si27 S9 O144'
_cell_length_a 9.5754
_cell_length_b 16.6530
_cell_length_c 23.2604
_cell_angle_alpha 90.51
_cell_angle_beta 90.16
_cell_angle_gamma 90.02
_space_group_name_H-M_alt 'P 1'
_space_group_IT_number 1
_space_group_name_Hall 'P 1'
loop_
_atom_site_label
_atom_site_fract_x
_atom_site_fract_y
_atom_site_fract_z
_atom_site_occupancy
Na1 0.0000 0.0000 0.0000 1
Na2 0.0021 0.0293 0.3547 1
Na3 0.0039 0.6716 0.3454 1
Na4 0.0093 0.7064 0.6780 1
Na5 0.0273 0.3583 0.3509 1
Na6 0.0535 0.0291 0.6916 1
Na7 0.1627 0.8360 0.0854 1
Na8 0.1719 0.1806 0.7739 1
Na9 0.1744 0.5183 0.4272 1
Na10 0.1747 0.8503 0.6013 1
Na11 0.1757 0.5159 0.9305 1
Na12 0.1947 0.1853 0.2643 1
Na13 0.2966 0.6854 0.5032 1
Na14 0.3154 0.0301 0.1804 1
Na15 0.3228 0.3517 0.8608 1
Na16 0.3431 0.6778 0.8513 1
Na17 0.3495 0.0367 0.8529 1
Na18 0.3583 0.6960 0.1762 1
Na19 0.3708 0.3730 0.5008 1
Na20 0.3735 0.3336 0.1731 1
Na21 0.4751 0.8353 0.6873 1
Na22 0.4798 0.8742 0.0001 1
Na23 0.4915 0.1979 0.6835 1
Na24 0.4914 0.5296 0.3463 1
Na25 0.5074 0.1773 0.3464 1
Na26 0.5272 0.8536 0.3554 1
Na27 0.5322 0.5274 0.6884 1
Na28 0.5412 0.1952 0.0049 1
Na29 0.6566 0.6831 0.7716 1
Na30 0.6575 0.3502 0.0941 1
Na31 0.6769 0.0208 0.4255 1
Na32 0.6772 0.0211 0.9288 1
Na33 0.6807 0.6792 0.2599 1
Na34 0.6899 0.3356 0.5871 1
Na35 0.8012 0.5254 0.1858 1
Na36 0.8304 0.8622 0.8557 1
Na37 0.8434 0.2079 0.1702 1
Na38 0.8522 0.5260 0.8593 1
Na39 0.8537 0.4977 0.5009 1
Na40 0.8589 0.1731 0.8547 1
Na41 0.8742 0.8231 0.1752 1
Na42 0.9801 0.3244 0.6800 1
La1 0.1654 0.8561 0.4473 1
La2 0.1689 0.8475 0.9452 1
La3 0.1716 0.1860 0.6061 1
La4 0.1726 0.8476 0.2587 1
La5 0.1792 0.1880 0.1042 1
La6 0.1793 0.5249 0.5719 1
La7 0.1788 0.8531 0.7571 1
La8 0.1808 0.5236 0.2798 1
La9 0.1816 0.5234 0.7827 1
La10 0.6701 0.0240 0.2810 1
La11 0.6712 0.0247 0.7830 1
La12 0.6711 0.3512 0.2540 1
La13 0.6726 0.0262 0.0715 1
La14 0.6739 0.6852 0.6073 1
La15 0.6783 0.3494 0.7626 1
La16 0.6800 0.3558 0.9482 1
La17 0.6813 0.6859 0.1047 1
La18 0.6819 0.3462 0.4455 1
Ta1 0.1714 0.1933 0.9199 1
Ta2 0.1839 0.1907 0.4149 1
Ta3 0.2017 0.5283 0.0750 1
Ta4 0.6587 0.0323 0.5779 1
Ta5 0.6699 0.6899 0.9158 1
Ta6 0.6881 0.6820 0.4133 1
Si1 0.0036 0.6987 0.8435 1
Si2 0.0286 0.0164 0.8500 1
Si3 0.0344 0.6675 0.1766 1
Si4 0.0370 0.3373 0.5159 1
Si5 0.3175 0.3440 0.0181 1
Si6 0.3233 0.0107 0.3493 1
Si7 0.3240 0.0409 0.0132 1
Si8 0.3298 0.6768 0.6803 1
Si9 0.3438 0.7007 0.3542 1
Si10 0.3624 0.3505 0.3520 1
Si11 0.3731 0.0176 0.6783 1
Si12 0.3823 0.6843 0.0180 1
Si13 0.4703 0.1830 0.5180 1
Si14 0.4812 0.5187 0.1792 1
Si15 0.4910 0.8494 0.8511 1
Si16 0.5069 0.2000 0.8514 1
Si17 0.5190 0.1757 0.1824 1
Si18 0.5274 0.5403 0.5120 1
Si19 0.5280 0.5124 0.8472 1
Si20 0.8150 0.8379 0.0161 1
Si21 0.8188 0.1712 0.6784 1
Si22 0.8285 0.5108 0.3493 1
Si23 0.8464 0.1981 0.3451 1
Si24 0.8581 0.8488 0.3459 1
Si25 0.8757 0.1852 0.0161 1
Si26 0.9740 0.6866 0.5162 1
Si27 0.9921 0.3492 0.8447 1
S1 0.0253 0.3762 0.1768 1
S2 0.3342 0.3680 0.6800 1
S3 0.5189 0.8670 0.1808 1
S4 0.5361 0.8470 0.5155 1
S5 0.8238 0.8800 0.6739 1
S6 0.8506 0.5389 0.0138 1
S7 0.8658 0.5167 0.6806 1
S8 0.9859 0.0167 0.1816 1
S9 0.9988 0.0361 0.5159 1
O1 0.0011 0.1900 0.9650 1
O2 0.0074 0.5362 0.0145 1
O3 0.0073 0.7514 0.7837 1
O4 0.0151 0.1956 0.3664 1
O5 0.0381 0.0858 0.4656 1
O6 0.0472 0.6038 0.8407 1
O7 0.0479 0.0718 0.5705 1
O8 0.0482 0.5985 0.5052 1
O9 0.0521 0.9520 0.9009 1
O10 0.0581 0.9549 0.5121 1
O11 0.0620 0.6248 0.2380 1
O12 0.0656 0.3009 0.5793 1
O13 0.0692 0.4084 0.2338 1
O14 0.0732 0.0910 0.1821 1
O15 0.0746 0.2644 0.8623 1
O16 0.0775 0.9440 0.1810 1
O17 0.0788 0.4280 0.1300 1
O18 0.0805 0.2928 0.1735 1
O19 0.0887 0.7587 0.5136 1
O20 0.0997 0.9811 0.7899 1
O21 0.1010 0.2685 0.4669 1
O22 0.1013 0.6046 0.1242 1
O23 0.1074 0.1046 0.8632 1
O24 0.1115 0.4197 0.8448 1
O25 0.1106 0.7412 0.8880 1
O26 0.1156 0.7547 0.1734 1
O27 0.1300 0.4183 0.5043 1
O28 0.2364 0.0960 0.3668 1
O29 0.2373 0.4345 0.0245 1
O30 0.2428 0.4184 0.3451 1
O31 0.2446 0.7634 0.6825 1
O32 0.2475 0.2881 0.9639 1
O33 0.2531 0.9788 0.2883 1
O34 0.2591 0.9516 0.0061 1
O35 0.2613 0.1087 0.9653 1
O36 0.2645 0.7429 0.4079 1
O37 0.2718 0.6294 0.6227 1
O38 0.2732 0.2857 0.6789 1
O39 0.2744 0.0969 0.6746 1
O40 0.2754 0.2620 0.3643 1
O41 0.2767 0.0720 0.0767 1
O42 0.2802 0.4082 0.7324 1
O43 0.2814 0.5999 0.0208 1
O44 0.2867 0.9335 0.6730 1
O45 0.2887 0.6086 0.3486 1
O46 0.2911 0.7636 0.0087 1
O47 0.2954 0.2980 0.0783 1
O48 0.2947 0.4149 0.6286 1
O49 0.2983 0.6226 0.7370 1
O50 0.3011 0.9417 0.3968 1
O51 0.3271 0.7559 0.2961 1
O52 0.3353 0.2003 0.8647 1
O53 0.3471 0.1865 0.1829 1
O54 0.3503 0.1724 0.4651 1
O55 0.3549 0.5181 0.1248 1
O56 0.3576 0.5432 0.5036 1
O57 0.3625 0.5373 0.8484 1
O58 0.3636 0.8615 0.1817 1
O59 0.3832 0.8559 0.5110 1
O60 0.3908 0.8707 0.9042 1
O61 0.3942 0.5251 0.2384 1
O62 0.3970 0.1882 0.5797 1
O63 0.4016 0.8281 0.7925 1
O64 0.4548 0.3283 0.2951 1
O65 0.4546 0.6907 0.0801 1
O66 0.4582 0.3713 0.4068 1
O67 0.4634 0.0235 0.7365 1
O68 0.4836 0.3516 0.0091 1
O69 0.4895 0.3635 0.6822 1
O70 0.4895 0.0337 0.3482 1
O71 0.4937 0.0429 0.0044 1
O72 0.5016 0.0173 0.6241 1
O73 0.5016 0.6921 0.6810 1
O74 0.5033 0.6732 0.9658 1
O75 0.5162 0.6988 0.3676 1
O76 0.5249 0.2511 0.7911 1
O77 0.5511 0.4398 0.8913 1
O78 0.5547 0.1274 0.2417 1
O79 0.5577 0.1066 0.8491 1
O80 0.5595 0.9147 0.1302 1
O81 0.5622 0.2623 0.5095 1
O82 0.5634 0.8021 0.5691 1
O83 0.5681 0.4352 0.1736 1
O84 0.5698 0.9063 0.2343 1
O85 0.5737 0.0984 0.5214 1
O86 0.5739 0.7602 0.8648 1
O87 0.5748 0.5759 0.5744 1
O88 0.5792 0.5988 0.1759 1
O89 0.5798 0.1246 0.1272 1
O90 0.5810 0.7848 0.1798 1
O91 0.5930 0.4513 0.5073 1
O92 0.5929 0.6060 0.4629 1
O93 0.5941 0.2438 0.9023 1
O94 0.5938 0.4841 0.7845 1
O95 0.5937 0.8036 0.4647 1
O96 0.6013 0.2630 0.1809 1
O97 0.6055 0.9285 0.5201 1
O98 0.6136 0.9155 0.8451 1
O99 0.6169 0.5965 0.8660 1
O100 0.7202 0.9178 0.0043 1
O101 0.7358 0.2568 0.6750 1
O102 0.7415 0.9200 0.3441 1
O103 0.7423 0.2386 0.3914 1
O104 0.7502 0.1093 0.6233 1
O105 0.7511 0.6022 0.3607 1
O106 0.7523 0.4786 0.2904 1
O107 0.7526 0.7686 0.9672 1
O108 0.7617 0.2570 0.0134 1
O109 0.7645 0.7979 0.6693 1
O110 0.7715 0.7654 0.3641 1
O111 0.7721 0.9323 0.6259 1
O112 0.7741 0.4445 0.6808 1
O113 0.7779 0.5915 0.6812 1
O114 0.7791 0.9127 0.7299 1
O115 0.7875 0.8011 0.0796 1
O116 0.7894 0.1218 0.7360 1
O117 0.7935 0.4576 0.0088 1
O118 0.8008 0.4531 0.4030 1
O119 0.8006 0.5725 0.0690 1
O120 0.8015 0.1033 0.3414 1
O121 0.8035 0.0965 0.0044 1
O122 0.8043 0.5898 0.9644 1
O123 0.8360 0.6981 0.8653 1
O124 0.8405 0.0297 0.5180 1
O125 0.8429 0.2529 0.2866 1
O126 0.8479 0.6903 0.4645 1
O127 0.8612 0.0331 0.8475 1
O128 0.8644 0.6775 0.1726 1
O129 0.8691 0.3740 0.1740 1
O130 0.8689 0.3766 0.8882 1
O131 0.8715 0.3558 0.5104 1
O132 0.8939 0.0123 0.1305 1
O133 0.8983 0.6903 0.5787 1
O134 0.9009 0.0180 0.2347 1
O135 0.9145 0.3290 0.7824 1
O136 0.9400 0.8250 0.2856 1
O137 0.9492 0.1870 0.0792 1
O138 0.9537 0.5197 0.7328 1
O139 0.9548 0.5130 0.6287 1
O140 0.9772 0.8749 0.3920 1
O141 0.9794 0.8764 0.6717 1
O142 0.9803 0.8566 0.0106 1
O143 0.9875 0.1798 0.6730 1
O144 0.9939 0.5305 0.3470 1
```

Values from the calculation:
VASP energy (eV per cell): -1727.18